This record from Materials Project describes an optimized crystal structure of Cs2TlSbI6. The functional is PBE.

For the total moment, the calculation gives 0.00 μB per formula unit. The total DFT energy (no corrections) is -2.65 eV/atom.

The structure in CIF format:
```
data_Cs2TlSbI6
_symmetry_space_group_name_H-M 'P 1'
_symmetry_Int_Tables_number 1
_cell_length_a 8.9950
_cell_length_b 8.9950
_cell_length_c 8.9950
_cell_angle_alpha 60.00
_cell_angle_beta 60.00
_cell_angle_gamma 60.00
loop_
_symmetry_equiv_pos_as_xyz
'x,y,z'
loop_
_atom_site_label
_atom_site_fract_x
_atom_site_fract_y
_atom_site_fract_z
Cs1 0.7500 0.7500 0.7500
Cs2 0.2500 0.2500 0.2500
Tl1 0.5000 0.5000 0.5000
Sb1 0.0000 0.0000 0.0000
I1 0.7614 0.2386 0.2386
I2 0.2386 0.2386 0.7614
I3 0.2386 0.7614 0.7614
I4 0.2386 0.7614 0.2386
I5 0.7614 0.2386 0.7614
I6 0.7614 0.7614 0.2386
```

This record from Materials Project describes an optimized crystal structure of Ba2NaSr2Sb3O12. The functional is PBE.

As for the energy above the most stable polymorph in this dataset: 0 meV per atom. For the total moment, the calculation gives 0.00 μB per formula unit. The total DFT energy (no corrections) is -6.14 eV/atom.

The structure in CIF format:
```
data_Ba2NaSr2Sb3O12
_symmetry_space_group_name_H-M 'P 1'
_symmetry_Int_Tables_number 1
_cell_length_a 8.3363
_cell_length_b 8.3363
_cell_length_c 8.2756
_cell_angle_alpha 90.00
_cell_angle_beta 90.00
_cell_angle_gamma 90.49
loop_
_symmetry_equiv_pos_as_xyz
'x,y,z'
loop_
_atom_site_label
_atom_site_fract_x
_atom_site_fract_y
_atom_site_fract_z
Ba1 0.2499 0.2499 0.2541
Ba2 0.7501 0.7501 0.7459
Ba3 0.2501 0.2501 0.7541
Ba4 0.7499 0.7499 0.2459
Na1 0.0000 0.0000 0.0000
Na2 0.5000 0.5000 0.5000
Sr1 0.2471 0.7471 0.2500
Sr2 0.2529 0.7529 0.7500
Sr3 0.7529 0.2529 0.7500
Sr4 0.7471 0.2471 0.2500
Sb1 0.0000 0.5000 0.0000
Sb2 0.5000 0.0000 0.0000
Sb3 0.0000 0.5000 0.5000
Sb4 0.5000 0.0000 0.5000
Sb5 0.5000 0.5000 0.0000
Sb6 0.0000 0.0000 0.5000
O1 0.9692 0.4692 0.2500
O2 0.5308 0.0308 0.7500
O3 0.0308 0.5308 0.7500
O4 0.4692 0.9692 0.2500
O5 0.0173 0.0173 0.2706
O6 0.9827 0.9827 0.7294
O7 0.4827 0.4827 0.7706
O8 0.5173 0.5173 0.2294
O9 0.0058 0.7283 0.0251
O10 0.2717 0.9942 0.9749
O11 0.7717 0.4942 0.5251
O12 0.5058 0.2283 0.4749
O13 0.9942 0.2717 0.9749
O14 0.7283 0.0058 0.0251
O15 0.2283 0.5058 0.4749
O16 0.4942 0.7717 0.5251
O17 0.0033 0.7498 0.4743
O18 0.2502 0.9967 0.5257
O19 0.7502 0.4967 0.9743
O20 0.5033 0.2498 0.0257
O21 0.9967 0.2502 0.5257
O22 0.7498 0.0033 0.4743
O23 0.2498 0.5033 0.0257
O24 0.4967 0.7502 0.9743
```

This record from Materials Project describes an optimized crystal structure of Mg5Mn3. The functional is PBE.

As for the energy above the most stable polymorph in this dataset: 0 meV per atom. For the total moment, the calculation gives 10.78 μB per formula unit. The total DFT energy (no corrections) is -4.17 eV/atom.

The structure in CIF format:
```
data_Mg5Mn3
_symmetry_space_group_name_H-M 'P 1'
_symmetry_Int_Tables_number 1
_cell_length_a 4.8245
_cell_length_b 5.9308
_cell_length_c 11.6884
_cell_angle_alpha 88.84
_cell_angle_beta 115.39
_cell_angle_gamma 88.13
loop_
_symmetry_equiv_pos_as_xyz
'x,y,z'
loop_
_atom_site_label
_atom_site_fract_x
_atom_site_fract_y
_atom_site_fract_z
Mg1 0.5377 0.2684 0.8754
Mg2 0.0317 0.2667 0.3683
Mg3 0.2966 0.5037 0.6144
Mg4 0.3045 0.0055 0.6307
Mg5 0.9067 0.7125 0.7231
Mg6 0.7600 0.5372 0.1110
Mg7 0.3697 0.7461 0.2194
Mg8 0.1286 0.9822 0.9585
Mg9 0.3621 0.2444 0.2034
Mg10 0.6349 0.9831 0.4658
Mn1 0.8861 0.2387 0.7127
Mn2 0.5515 0.7634 0.8754
Mn3 0.0287 0.7646 0.3667
Mn4 0.7800 0.0111 0.1211
Mn5 0.1154 0.4873 0.9588
Mn6 0.6376 0.4851 0.4672
```

This record from Materials Project describes an optimized crystal structure of Li2CuSiO4. The functional is PBE.

As for the energy above the most stable polymorph in this dataset: 13 meV per atom. For the total moment, the calculation gives 1.00 μB per formula unit. The total DFT energy (no corrections) is -6.13 eV/atom.

The structure in CIF format:
```
data_Li2CuSiO4
_symmetry_space_group_name_H-M 'P 1'
_symmetry_Int_Tables_number 1
_cell_length_a 5.0417
_cell_length_b 5.0417
_cell_length_c 11.4213
_cell_angle_alpha 90.00
_cell_angle_beta 90.00
_cell_angle_gamma 120.00
loop_
_symmetry_equiv_pos_as_xyz
'x,y,z'
loop_
_atom_site_label
_atom_site_fract_x
_atom_site_fract_y
_atom_site_fract_z
Li1 0.3411 0.8963 0.5861
Li2 0.1037 0.4448 0.9194
Li3 0.5552 0.6589 0.2527
Li4 0.4448 0.1037 0.0806
Li5 0.6589 0.5552 0.7473
Li6 0.8963 0.3411 0.4139
Cu1 0.0000 0.4498 0.1667
Cu2 0.5502 0.5502 0.5000
Cu3 0.4498 0.0000 0.8333
Si1 0.0000 0.1904 0.6667
Si2 0.1904 0.0000 0.3333
Si3 0.8096 0.8096 0.0000
O1 0.1411 0.8539 0.9566
O2 0.1340 0.4431 0.5591
O3 0.3091 0.8660 0.2258
O4 0.1461 0.2872 0.2899
O5 0.2872 0.1461 0.7101
O6 0.7128 0.8589 0.6233
O7 0.5569 0.6909 0.8924
O8 0.6909 0.5569 0.1076
O9 0.4431 0.1340 0.4409
O10 0.8589 0.7128 0.3767
O11 0.8539 0.1411 0.0434
O12 0.8660 0.3091 0.7742
```

This record from Materials Project describes an optimized crystal structure of NdCo3. The functional is PBE.

For the total moment, the calculation gives 3.35 μB per formula unit. The total DFT energy (no corrections) is -6.56 eV/atom.

The structure in CIF format:
```
data_NdCo3
_symmetry_space_group_name_H-M 'P 1'
_symmetry_Int_Tables_number 1
_cell_length_a 5.0844
_cell_length_b 5.0844
_cell_length_c 8.7756
_cell_angle_alpha 73.16
_cell_angle_beta 73.16
_cell_angle_gamma 60.00
loop_
_symmetry_equiv_pos_as_xyz
'x,y,z'
loop_
_atom_site_label
_atom_site_fract_x
_atom_site_fract_y
_atom_site_fract_z
Nd1 0.1394 0.1394 0.5818
Nd2 0.8606 0.8606 0.4182
Nd3 0.0000 0.0000 0.0000
Co1 0.0819 0.5782 0.7617
Co2 0.5782 0.5782 0.7617
Co3 0.5782 0.0819 0.7617
Co4 0.9182 0.4218 0.2383
Co5 0.4218 0.4218 0.2383
Co6 0.4218 0.9182 0.2383
Co7 0.3341 0.3341 0.9978
Co8 0.6659 0.6659 0.0022
Co9 0.5000 0.5000 0.5000
```

This record from Materials Project describes an optimized crystal structure of CsV6S8. The functional is PBE.

For the total moment, the calculation gives 0.00 μB per formula unit. The total DFT energy (no corrections) is -6.90 eV/atom.

The structure in CIF format:
```
data_CsV6S8
_symmetry_space_group_name_H-M 'P 1'
_symmetry_Int_Tables_number 1
_cell_length_a 3.2595
_cell_length_b 9.3531
_cell_length_c 9.3577
_cell_angle_alpha 119.90
_cell_angle_beta 90.01
_cell_angle_gamma 90.01
loop_
_symmetry_equiv_pos_as_xyz
'x,y,z'
loop_
_atom_site_label
_atom_site_fract_x
_atom_site_fract_y
_atom_site_fract_z
Cs1 0.5000 0.0000 0.0000
V1 0.7476 0.3747 0.8863
V2 0.7477 0.1133 0.4881
V3 0.7478 0.5114 0.6250
V4 0.2524 0.6253 0.1137
V5 0.2523 0.8867 0.5119
V6 0.2522 0.4886 0.3750
S1 0.7513 0.6668 0.3334
S2 0.2487 0.3332 0.6666
S3 0.7550 0.0552 0.6995
S4 0.7548 0.3004 0.3560
S5 0.7550 0.6442 0.9445
S6 0.2450 0.9448 0.3005
S7 0.2452 0.6996 0.6440
S8 0.2450 0.3558 0.0555
```

This record from Materials Project describes an optimized crystal structure of Ta2CuO6. The functional is PBE.

As for the energy above the most stable polymorph in this dataset: 1 meV per atom. For the total moment, the calculation gives 0.99 μB per formula unit. The total DFT energy (no corrections) is -8.71 eV/atom.

The structure in CIF format:
```
data_Ta2CuO6
_symmetry_space_group_name_H-M 'P 1'
_symmetry_Int_Tables_number 1
_cell_length_a 7.5465
_cell_length_b 7.5659
_cell_length_c 7.6078
_cell_angle_alpha 90.00
_cell_angle_beta 90.00
_cell_angle_gamma 90.00
loop_
_symmetry_equiv_pos_as_xyz
'x,y,z'
loop_
_atom_site_label
_atom_site_fract_x
_atom_site_fract_y
_atom_site_fract_z
Ta1 0.2480 0.2559 0.2496
Ta2 0.2480 0.2559 0.7504
Ta3 0.2480 0.7441 0.2496
Ta4 0.2480 0.7441 0.7504
Ta5 0.7520 0.2559 0.2496
Ta6 0.7520 0.2559 0.7504
Ta7 0.7520 0.7441 0.2496
Ta8 0.7520 0.7441 0.7504
Cu1 0.5000 0.0000 0.5000
Cu2 0.5000 0.5000 0.0000
Cu3 0.0000 0.0000 0.0000
Cu4 0.0000 0.0000 0.5000
O1 0.5000 0.8198 0.6881
O2 0.5000 0.8198 0.3119
O3 0.3199 0.3079 0.0000
O4 0.3199 0.6921 0.0000
O5 0.2976 0.5000 0.6935
O6 0.2976 0.5000 0.3065
O7 0.1913 0.0000 0.8206
O8 0.1913 0.0000 0.1794
O9 0.1851 0.8123 0.5000
O10 0.1851 0.1877 0.5000
O11 0.0000 0.6979 0.7961
O12 0.0000 0.3021 0.2039
O13 0.0000 0.3021 0.7961
O14 0.0000 0.6979 0.2039
O15 0.8149 0.1877 0.5000
O16 0.8149 0.8123 0.5000
O17 0.8087 0.0000 0.8206
O18 0.8087 0.0000 0.1794
O19 0.7024 0.5000 0.6935
O20 0.7024 0.5000 0.3065
O21 0.6801 0.3079 0.0000
O22 0.6801 0.6921 0.0000
O23 0.5000 0.1802 0.6881
O24 0.5000 0.1802 0.3119
```

This record from Materials Project describes an optimized crystal structure of RbB2SbO6. The functional is PBE.

For the total moment, the calculation gives 0.00 μB per formula unit. The total DFT energy (no corrections) is -6.83 eV/atom.

The structure in CIF format:
```
data_RbB2SbO6
_symmetry_space_group_name_H-M 'P 1'
_symmetry_Int_Tables_number 1
_cell_length_a 3.8923
_cell_length_b 7.4770
_cell_length_c 9.7654
_cell_angle_alpha 90.00
_cell_angle_beta 90.00
_cell_angle_gamma 90.00
loop_
_symmetry_equiv_pos_as_xyz
'x,y,z'
loop_
_atom_site_label
_atom_site_fract_x
_atom_site_fract_y
_atom_site_fract_z
Rb1 0.5556 0.0000 0.6123
Rb2 0.4444 0.5000 0.1123
B1 0.9908 0.6687 0.7901
B2 0.0092 0.8313 0.2901
B3 0.0092 0.1687 0.2901
B4 0.9908 0.3313 0.7901
Sb1 0.9340 0.0000 0.0091
Sb2 0.0660 0.5000 0.5091
O1 0.9327 0.8071 0.1532
O2 0.0673 0.6929 0.6532
O3 0.0673 0.3071 0.6532
O4 0.9327 0.1929 0.1532
O5 0.0264 0.0000 0.3534
O6 0.9736 0.5000 0.8534
O7 0.4334 0.0000 0.0060
O8 0.5666 0.5000 0.5060
O9 0.9160 0.8177 0.8626
O10 0.0840 0.6823 0.3626
O11 0.0840 0.3177 0.3626
O12 0.9160 0.1823 0.8626
```